(1)
! MnV2P2H8O14, optimized geometry, DFT PBE+U; values from VASP
! **Theoretical density**: 2.716 g cm⁻³
! **Formation energy**: -1.990 eV/atom
! **Space group**: No. 87
! **Size of the total moment**: 7.0 μB/f.u.
! **Distance to the lowest polymorph of the same formula**: 0 meV/atom
&SYSTEM
  ibrav = 0, nat = 27, ntyp = 5
/
ATOMIC_SPECIES
O 16.00 O.upf
P 30.97 P.upf
H 1.01 H.upf
V 50.94 V.upf
Mn 54.94 Mn.upf
ATOMIC_POSITIONS crystal
O 0.988 0.717 0.632
P 0.250 0.750 0.500
H 0.714 0.273 0.884
O 0.746 0.232 0.000
O 0.650 0.988 0.632
H 0.402 0.843 0.884
O 0.283 0.620 0.368
O 0.155 0.155 0.691
H 0.157 0.286 0.116
O 0.012 0.283 0.368
O 0.717 0.380 0.632
H 0.727 0.598 0.116
O 0.845 0.845 0.309
O 0.232 0.254 0.000
V 0.726 0.726 0.549
H 0.598 0.157 0.116
O 0.380 0.650 0.632
O 0.768 0.746 0.000
V 0.274 0.274 0.451
H 0.273 0.402 0.884
Mn 0.000 0.000 0.000
P 0.750 0.250 0.500
H 0.286 0.727 0.116
H 0.843 0.714 0.884
O 0.620 0.350 0.368
O 0.350 0.012 0.368
O 0.254 0.768 0.000
CELL_PARAMETERS angstrom
-1.749 -1.266 -5.952
4.233 -4.702 -0.244
-3.506 -7.379 -0.768

***

(2)
! MnV2P2H8O14, optimized geometry, DFT PBE+U; values from VASP
! **Theoretical density**: 2.107 g cm⁻³
! **Formation energy**: -1.510 eV/atom
! **Space group**: No. 2
! **Size of the total moment**: 7.0 μB/f.u.
! **Distance to the lowest polymorph of the same formula**: 480 meV/atom
&SYSTEM
  ibrav = 0, nat = 27, ntyp = 5
/
ATOMIC_SPECIES
H 1.01 H.upf
O 16.00 O.upf
Mn 54.94 Mn.upf
V 50.94 V.upf
P 30.97 P.upf
ATOMIC_POSITIONS crystal
H 0.851 0.740 0.205
O 0.877 0.761 0.792
O 0.653 0.641 0.445
O 0.496 0.731 0.943
Mn 0.000 0.000 0.000
O 0.464 0.017 0.766
O 0.662 0.333 0.807
V 0.755 0.611 0.892
H 0.794 0.901 0.470
O 0.338 0.667 0.193
H 0.458 0.336 0.636
H 0.542 0.664 0.364
O 0.347 0.359 0.555
O 0.123 0.239 0.208
H 0.206 0.099 0.530
P 0.370 0.841 0.095
O 0.825 0.760 0.411
O 0.091 0.296 0.904
H 0.548 0.122 0.215
O 0.909 0.704 0.096
O 0.504 0.269 0.057
O 0.175 0.240 0.589
H 0.149 0.260 0.795
P 0.630 0.159 0.905
V 0.245 0.389 0.108
H 0.452 0.878 0.785
O 0.536 0.983 0.234
CELL_PARAMETERS angstrom
6.555 0.000 0.000
-0.077 6.684 0.000
-0.733 -2.088 8.108

***

(3)
! MnVP2H2O10, optimized geometry, DFT PBE+U; values from VASP
! **Theoretical density**: 3.184 g cm⁻³
! **Formation energy**: -2.223 eV/atom
! **Space group**: No. 2
! **Size of the total moment**: 0.0 μB/f.u.
! **Distance to the lowest polymorph of the same formula**: 0 meV/atom
&SYSTEM
  ibrav = 0, nat = 32, ntyp = 5
/
ATOMIC_SPECIES
P 30.97 P.upf
O 16.00 O.upf
H 1.01 H.upf
Mn 54.94 Mn.upf
V 50.94 V.upf
ATOMIC_POSITIONS crystal
P 0.489 0.835 0.939
O 0.751 0.881 0.056
O 0.928 0.818 0.546
H 0.652 0.002 0.680
O 0.428 0.318 0.047
Mn 0.999 0.000 0.000
H 0.152 0.503 0.181
P 0.511 0.165 0.061
V 0.000 0.000 0.500
O 0.380 0.927 0.709
O 0.620 0.073 0.291
O 0.249 0.119 0.944
H 0.347 0.998 0.319
O 0.734 0.158 0.963
O 0.749 0.619 0.444
O 0.345 0.522 0.209
Mn 0.500 0.500 0.500
O 0.121 0.573 0.791
O 0.155 0.979 0.291
V 0.500 0.500 0.000
P 0.989 0.335 0.439
O 0.844 0.021 0.708
O 0.766 0.343 0.537
O 0.879 0.427 0.209
O 0.234 0.657 0.463
P 0.011 0.665 0.561
O 0.251 0.381 0.556
H 0.848 0.497 0.820
O 0.266 0.842 0.037
O 0.573 0.682 0.954
O 0.072 0.182 0.454
O 0.655 0.479 0.791
CELL_PARAMETERS angstrom
-0.824 -1.972 4.717
7.766 4.936 4.475
-1.917 6.986 0.068

***

(4)
! MnVHPbO5, optimized geometry, DFT PBE+U; values from VASP
! **Theoretical density**: 5.546 g cm⁻³
! **Formation energy**: -2.015 eV/atom
! **Space group**: No. 62
&SYSTEM
  ibrav = 0, nat = 36, ntyp = 5
/
ATOMIC_SPECIES
O 16.00 O.upf
H 1.01 H.upf
Pb 207.20 Pb.upf
Mn 54.94 Mn.upf
V 50.94 V.upf
ATOMIC_POSITIONS crystal
O 0.485 0.116 0.784
H 0.250 0.270 0.019
O 0.250 0.156 0.068
Pb 0.750 0.362 0.817
O 0.985 0.384 0.284
O 0.250 0.656 0.432
O 0.250 0.811 0.929
Mn 0.500 0.500 0.500
O 0.750 0.189 0.071
O 0.515 0.884 0.216
O 0.750 0.043 0.430
O 0.750 0.689 0.429
O 0.250 0.457 0.930
V 0.250 0.127 0.681
O 0.015 0.616 0.716
H 0.750 0.230 0.519
O 0.250 0.957 0.570
Pb 0.250 0.138 0.317
O 0.485 0.616 0.716
O 0.750 0.543 0.070
O 0.250 0.311 0.571
Pb 0.750 0.862 0.683
O 0.750 0.344 0.568
Pb 0.250 0.638 0.183
V 0.250 0.627 0.819
H 0.250 0.770 0.481
V 0.750 0.373 0.181
O 0.985 0.884 0.216
O 0.750 0.844 0.932
Mn 0.500 0.000 0.000
V 0.750 0.873 0.319
O 0.515 0.384 0.284
O 0.015 0.116 0.784
Mn 0.000 0.500 0.500
H 0.750 0.730 0.981
Mn 0.000 0.000 0.000
CELL_PARAMETERS angstrom
6.330 0.000 0.000
0.000 7.768 0.000
0.000 0.000 9.598

***

(5)
! Rb2MnH12S2O14, optimized geometry, DFT PBE+U; values from VASP
! **Theoretical density**: 2.474 g cm⁻³
! **Formation energy**: -1.653 eV/atom
! **Space group**: No. 14
! **Size of the total moment**: 5.0 μB/f.u.
&SYSTEM
  ibrav = 0, nat = 62, ntyp = 5
/
ATOMIC_SPECIES
Rb 85.47 Rb.upf
S 32.06 S.upf
O 16.00 O.upf
H 1.01 H.upf
Mn 54.94 Mn.upf
ATOMIC_POSITIONS crystal
Rb 0.852 0.348 0.369
S 0.860 0.731 0.596
O 0.268 0.414 0.913
O 0.571 0.609 0.224
O 0.077 0.222 0.545
H 0.101 0.068 0.725
O 0.888 0.163 0.835
O 0.570 0.689 0.504
H 0.561 0.650 0.408
Mn 0.000 0.000 0.000
Mn 0.500 0.000 0.500
H 0.131 0.916 0.241
S 0.360 0.269 0.904
O 0.923 0.778 0.455
H 0.601 0.932 0.775
O 0.322 0.056 0.877
O 0.429 0.391 0.776
O 0.117 0.970 0.827
Rb 0.148 0.652 0.631
O 0.388 0.837 0.665
H 0.061 0.350 0.092
O 0.577 0.778 0.955
O 0.678 0.944 0.123
H 0.939 0.650 0.908
O 0.071 0.391 0.276
H 0.439 0.350 0.592
H 0.899 0.932 0.275
O 0.070 0.311 0.996
H 0.369 0.916 0.741
O 0.929 0.609 0.724
O 0.383 0.970 0.327
H 0.311 0.008 0.352
O 0.232 0.414 0.413
Rb 0.648 0.348 0.869
H 0.353 0.332 0.471
H 0.405 0.679 0.716
H 0.905 0.321 0.784
H 0.869 0.084 0.759
H 0.811 0.992 0.148
H 0.631 0.084 0.259
H 0.189 0.008 0.852
O 0.112 0.837 0.165
H 0.595 0.321 0.284
O 0.430 0.311 0.496
O 0.822 0.944 0.623
H 0.147 0.332 0.971
H 0.853 0.668 0.029
O 0.612 0.163 0.335
O 0.178 0.056 0.377
O 0.732 0.586 0.087
O 0.768 0.586 0.587
O 0.930 0.689 0.004
S 0.640 0.731 0.096
H 0.095 0.679 0.216
O 0.883 0.030 0.173
S 0.140 0.269 0.404
H 0.689 0.992 0.648
Rb 0.352 0.652 0.131
O 0.423 0.222 0.045
O 0.617 0.030 0.673
H 0.647 0.668 0.529
H 0.399 0.068 0.225
CELL_PARAMETERS angstrom
-5.353 11.286 2.041
-3.168 -2.375 4.826
5.428 1.230 7.434

***

(6)
! Rb2MnH12Se2O14, optimized geometry, DFT PBE+U; values from VASP
! **Theoretical density**: 2.485 g cm⁻³
! **Formation energy**: -1.135 eV/atom
! **Space group**: No. 14
! **Size of the total moment**: 5.1 μB/f.u.
! **Distance to the lowest polymorph of the same formula**: 320 meV/atom
&SYSTEM
  ibrav = 0, nat = 62, ntyp = 5
/
ATOMIC_SPECIES
H 1.01 H.upf
O 16.00 O.upf
Rb 85.47 Rb.upf
Mn 54.94 Mn.upf
Se 78.96 Se.upf
ATOMIC_POSITIONS crystal
H 0.053 0.348 0.154
H 0.566 0.457 0.296
O 0.581 0.780 0.935
Rb 0.877 0.318 0.421
H 0.266 0.143 0.618
Mn 0.500 0.000 0.500
O 0.757 0.545 0.597
H 0.234 0.143 0.118
H 0.917 0.927 0.254
O 0.919 0.780 0.435
Mn 0.000 0.000 0.000
H 0.934 0.457 0.796
O 0.210 0.063 0.390
H 0.766 0.857 0.882
O 0.419 0.220 0.065
H 0.895 0.677 0.065
O 0.710 0.937 0.110
H 0.172 0.002 0.870
H 0.417 0.073 0.246
O 0.937 0.764 0.985
Rb 0.623 0.318 0.921
H 0.553 0.652 0.346
Rb 0.377 0.682 0.079
H 0.447 0.348 0.654
O 0.049 0.398 0.240
O 0.427 0.807 0.644
O 0.951 0.602 0.760
O 0.257 0.455 0.903
Se 0.196 0.227 0.486
Se 0.304 0.227 0.986
O 0.743 0.545 0.097
O 0.790 0.937 0.610
H 0.672 0.998 0.630
O 0.927 0.193 0.856
O 0.573 0.193 0.356
O 0.401 0.975 0.345
H 0.828 0.998 0.130
O 0.437 0.236 0.515
O 0.290 0.063 0.890
O 0.099 0.975 0.845
H 0.328 0.002 0.370
O 0.451 0.398 0.740
H 0.105 0.323 0.935
O 0.081 0.220 0.565
O 0.599 0.025 0.655
O 0.563 0.764 0.485
O 0.901 0.025 0.155
O 0.063 0.236 0.015
H 0.947 0.652 0.846
O 0.243 0.455 0.403
Rb 0.123 0.682 0.579
O 0.549 0.602 0.260
H 0.734 0.857 0.382
Se 0.804 0.773 0.514
Se 0.696 0.773 0.014
H 0.583 0.927 0.754
H 0.605 0.677 0.565
H 0.395 0.323 0.435
H 0.066 0.543 0.204
O 0.073 0.807 0.144
H 0.083 0.073 0.746
H 0.434 0.543 0.704
CELL_PARAMETERS angstrom
13.062 0.000 0.000
0.000 7.004 0.000
0.000 2.935 9.057

***

(7)
! Rb2MnH12Se2O14, optimized geometry, DFT PBE+U; values from VASP
! **Theoretical density**: 2.630 g cm⁻³
! **Formation energy**: -1.455 eV/atom
! **Space group**: No. 14
! **Size of the total moment**: 5.2 μB/f.u.
! **Distance to the lowest polymorph of the same formula**: 0 meV/atom
&SYSTEM
  ibrav = 0, nat = 62, ntyp = 5
/
ATOMIC_SPECIES
Se 78.96 Se.upf
H 1.01 H.upf
O 16.00 O.upf
Rb 85.47 Rb.upf
Mn 54.94 Mn.upf
ATOMIC_POSITIONS crystal
Se 0.268 0.142 0.596
H 0.991 0.688 0.350
H 0.334 0.359 0.523
O 0.824 0.389 0.331
O 0.400 0.065 0.732
H 0.328 0.593 0.715
O 0.600 0.565 0.768
H 0.894 0.371 0.254
H 0.334 0.141 0.023
H 0.009 0.312 0.650
O 0.775 0.926 0.556
Se 0.268 0.358 0.096
O 0.037 0.318 0.126
O 0.426 0.243 0.589
O 0.017 0.614 0.328
O 0.225 0.426 0.944
H 0.660 0.937 0.104
O 0.983 0.386 0.672
H 0.340 0.063 0.896
O 0.963 0.818 0.374
H 0.925 0.602 0.229
Rb 0.655 0.149 0.374
O 0.176 0.889 0.169
H 0.106 0.629 0.746
O 0.824 0.111 0.831
O 0.574 0.743 0.911
O 0.225 0.074 0.444
Rb 0.345 0.649 0.126
O 0.704 0.930 0.012
O 0.037 0.182 0.626
H 0.075 0.102 0.271
Se 0.732 0.642 0.904
H 0.672 0.093 0.785
H 0.666 0.859 0.977
H 0.340 0.437 0.396
O 0.176 0.611 0.669
H 0.894 0.129 0.754
O 0.017 0.886 0.828
Mn 0.000 0.500 0.500
O 0.600 0.935 0.268
O 0.400 0.435 0.232
Mn 0.000 0.000 0.000
O 0.574 0.757 0.411
Se 0.732 0.858 0.404
H 0.991 0.812 0.850
O 0.983 0.114 0.172
O 0.775 0.574 0.056
O 0.296 0.070 0.988
H 0.106 0.871 0.246
H 0.075 0.398 0.771
O 0.296 0.430 0.488
O 0.704 0.570 0.512
O 0.426 0.257 0.089
H 0.328 0.907 0.215
Rb 0.655 0.351 0.874
H 0.009 0.188 0.150
H 0.925 0.898 0.729
O 0.963 0.682 0.874
H 0.660 0.563 0.604
H 0.666 0.641 0.477
H 0.672 0.407 0.285
Rb 0.345 0.851 0.626
CELL_PARAMETERS angstrom
6.506 0.000 0.000
0.000 13.014 0.000
-2.493 0.000 9.246

***

(8)
! MnRe2H2O10, optimized geometry, DFT PBE+U; values from VASP
! **Theoretical density**: 3.859 g cm⁻³
! **Formation energy**: -1.387 eV/atom
! **Space group**: No. 12
! **Size of the total moment**: 1.0 μB/f.u.
! **Distance to the lowest polymorph of the same formula**: 377 meV/atom
&SYSTEM
  ibrav = 0, nat = 15, ntyp = 4
/
ATOMIC_SPECIES
Mn 54.94 Mn.upf
Re 186.21 Re.upf
O 16.00 O.upf
H 1.01 H.upf
ATOMIC_POSITIONS crystal
Mn 0.000 0.000 0.000
Re 0.634 0.634 0.135
O 0.260 0.260 0.091
O 0.654 0.654 0.402
O 0.181 0.679 0.885
H 0.022 0.022 0.448
O 0.346 0.346 0.598
O 0.897 0.897 0.293
O 0.103 0.103 0.707
O 0.321 0.819 0.115
O 0.679 0.181 0.885
H 0.978 0.978 0.552
O 0.740 0.740 0.909
Re 0.366 0.366 0.865
O 0.819 0.321 0.115
CELL_PARAMETERS angstrom
-2.574 -0.289 -7.738
3.089 -1.673 -7.365
-1.319 -5.738 -1.268

***

(9)
! MnRe2H2O10, optimized geometry, DFT PBE+U; values from VASP
! **Theoretical density**: 4.434 g cm⁻³
! **Formation energy**: -1.763 eV/atom
! **Space group**: No. 12
! **Size of the total moment**: 3.0 μB/f.u.
! **Distance to the lowest polymorph of the same formula**: 0 meV/atom
&SYSTEM
  ibrav = 0, nat = 15, ntyp = 4
/
ATOMIC_SPECIES
O 16.00 O.upf
Mn 54.94 Mn.upf
Re 186.21 Re.upf
H 1.01 H.upf
ATOMIC_POSITIONS crystal
O 0.148 0.691 0.874
O 0.867 0.758 0.516
O 0.852 0.817 0.126
O 0.148 0.183 0.874
Mn 0.000 0.500 0.000
Re 0.145 0.867 0.733
Re 0.855 0.133 0.267
O 0.414 0.835 0.670
H 0.653 0.323 0.646
O 0.852 0.309 0.126
O 0.586 0.165 0.330
O 0.679 0.394 0.788
O 0.321 0.606 0.212
H 0.347 0.677 0.354
O 0.133 0.242 0.484
CELL_PARAMETERS angstrom
0.107 0.000 -5.586
0.000 -5.873 0.000
-6.781 2.936 2.768

***

(10)
! Mn2H2SO6, optimized geometry, DFT PBE+U; values from VASP
! **Theoretical density**: 3.258 g cm⁻³
! **Formation energy**: -1.851 eV/atom
! **Space group**: No. 15
&SYSTEM
  ibrav = 0, nat = 22, ntyp = 4
/
ATOMIC_SPECIES
O 16.00 O.upf
H 1.01 H.upf
S 32.06 S.upf
Mn 54.94 Mn.upf
ATOMIC_POSITIONS crystal
O 0.700 0.054 0.319
O 0.300 0.946 0.681
O 0.413 0.465 0.316
O 0.587 0.535 0.684
O 0.394 0.846 0.247
O 0.800 0.681 0.946
H 0.304 0.230 0.956
H 0.804 0.956 0.230
H 0.196 0.044 0.770
S 0.750 0.311 0.689
Mn 0.817 0.348 0.152
Mn 0.683 0.848 0.652
O 0.606 0.154 0.753
O 0.087 0.684 0.535
H 0.696 0.770 0.044
S 0.250 0.689 0.311
O 0.913 0.316 0.465
Mn 0.183 0.652 0.848
O 0.200 0.319 0.054
O 0.106 0.753 0.154
O 0.894 0.247 0.846
Mn 0.317 0.152 0.348
CELL_PARAMETERS angstrom
5.827 0.023 2.229
1.614 6.126 2.648
0.025 -0.006 6.867

***

formation energy of number 7 (Rb2MnH12Se2O14)?
-1.455 eV/atom